The following is a PBE with a Hubbard U calculation of a relaxed Li2MnF4 crystal, from Materials Project.

Computed properties:
Magnetic moment ... 5.0 μB per cell

Lattice parameters (Å, degrees): 5.404 5.404 5.404 134.30 134.30 66.62
Fractional coordinates of all 7 atoms:
1 F 0.763 0.763 0.000
2 F 0.237 0.237 0.000
3 F 0.000 0.500 0.500
4 F 0.500 0.000 0.500
5 Li 0.250 0.750 0.500
6 Li 0.750 0.250 0.500
7 Mn 0.000 0.000 0.000

The following is a PBE with a Hubbard U calculation of a relaxed TiV3Cr2P6O24 crystal, from Materials Project.

Computed properties:
Magnetic moment ... 13.0 μB per cell

Lattice parameters (Å, degrees): 8.603 8.603 8.603 60.19 60.19 60.19
Fractional coordinates of all 36 atoms:
1 O 0.614 0.006 0.811
2 O 0.006 0.811 0.614
3 O 0.740 0.939 0.087
4 O 0.939 0.087 0.740
5 O 0.589 0.438 0.242
6 O 0.553 0.760 0.412
7 O 0.242 0.589 0.438
8 O 0.412 0.553 0.760
9 O 0.438 0.242 0.589
10 O 0.491 0.887 0.689
11 O 0.004 0.186 0.382
12 O 0.311 0.507 0.113
13 O 0.259 0.061 0.915
14 O 0.113 0.311 0.507
15 O 0.887 0.689 0.491
16 O 0.382 0.004 0.186
17 O 0.061 0.915 0.259
18 O 0.811 0.614 0.006
19 O 0.186 0.382 0.004
20 O 0.507 0.113 0.311
21 O 0.760 0.412 0.553
22 O 0.915 0.259 0.061
23 O 0.087 0.740 0.939
24 O 0.689 0.491 0.887
25 P 0.043 0.750 0.457
26 P 0.957 0.250 0.545
27 P 0.250 0.545 0.957
28 P 0.545 0.957 0.250
29 P 0.457 0.043 0.750
30 P 0.750 0.457 0.043
31 Cr 0.000 0.000 0.000
32 Cr 0.500 0.500 0.500
33 V 0.643 0.643 0.643
34 V 0.357 0.357 0.357
35 V 0.856 0.856 0.856
36 Ti 0.146 0.146 0.146

The following is a PBE with a Hubbard U calculation of a relaxed Na5W14O44 crystal, from Materials Project.

Computed properties:
Magnetic moment ... 1.0 μB per cell

Lattice parameters (Å, degrees): 7.450 7.465 18.721 96.30 90.44 119.85
Fractional coordinates of all 63 atoms:
1 O 0.809 0.083 0.721
2 O 0.191 0.917 0.279
3 O 0.020 0.415 0.828
4 O 0.783 0.576 0.952
5 O 0.696 0.255 0.615
6 O 0.064 0.258 0.609
7 O 0.484 0.833 0.613
8 O 0.710 0.418 0.283
9 O 0.397 0.158 0.173
10 O 0.795 0.179 0.935
11 O 0.380 0.175 0.939
12 O 0.517 0.534 0.391
13 O 0.980 0.585 0.172
14 O 0.205 0.821 0.065
15 O 0.217 0.424 0.048
16 O 0.304 0.745 0.385
17 O 0.516 0.167 0.387
18 O 0.387 0.419 0.833
19 O 0.849 0.830 0.608
20 O 0.745 0.490 0.499
21 O 0.483 0.466 0.609
22 O 0.204 0.408 0.283
23 O 0.250 0.090 0.726
24 O 0.255 0.510 0.501
25 O 0.334 0.683 0.931
26 O 0.290 0.582 0.717
27 O 0.603 0.842 0.827
28 O 0.061 0.620 0.609
29 O 0.613 0.581 0.167
30 O 0.151 0.170 0.392
31 O 0.018 0.053 0.847
32 O 0.982 0.947 0.153
33 O 0.598 0.209 0.822
34 O 0.770 0.159 0.173
35 O 0.939 0.380 0.391
36 O 0.620 0.825 0.061
37 O 0.796 0.592 0.717
38 O 0.750 0.910 0.274
39 O 0.402 0.791 0.178
40 O 0.745 0.007 0.506
41 O 0.230 0.841 0.827
42 O 0.255 0.993 0.494
43 O 0.936 0.742 0.391
44 O 0.666 0.317 0.069
45 W 0.691 0.374 0.185
46 W 0.227 0.960 0.400
47 W 0.309 0.626 0.815
48 W 0.344 0.687 0.028
49 W 0.298 0.125 0.820
50 W 0.809 0.127 0.818
51 W 0.728 0.458 0.402
52 W 0.775 0.548 0.622
53 W 0.773 0.040 0.600
54 W 0.225 0.452 0.378
55 W 0.656 0.313 0.972
56 W 0.272 0.542 0.598
57 W 0.702 0.875 0.180
58 W 0.191 0.873 0.182
59 Na 0.289 0.048 0.612
60 Na 0.190 0.352 0.164
61 Na 0.000 0.000 0.000
62 Na 0.711 0.952 0.388
63 Na 0.810 0.648 0.836

The following is a PBE with a Hubbard U calculation of a relaxed LiVF4 crystal, from Materials Project.

Computed properties:
Magnetic moment ... 4.0 μB per cell

Lattice parameters (Å, degrees): 6.098 6.098 6.098 131.91 131.91 70.37
Fractional coordinates of all 12 atoms:
1 F 0.630 0.113 0.935
2 F 0.444 0.880 0.017
3 F 0.887 0.823 0.517
4 F 0.863 0.427 0.983
5 F 0.573 0.556 0.435
6 F 0.177 0.694 0.065
7 F 0.306 0.370 0.483
8 F 0.120 0.137 0.565
9 V 0.250 0.750 0.500
10 V 0.500 0.500 0.000
11 Li 0.750 0.250 0.500
12 Li 0.000 0.000 0.000

The following is a PBE with a Hubbard U calculation of a relaxed Na3V5O10 crystal, from Materials Project.

Computed properties:
Magnetic moment ... 16.0 μB per cell

Lattice parameters (Å, degrees): 5.121 12.195 7.252 78.62 97.38 85.45
Fractional coordinates of all 36 atoms:
1 O 0.368 0.142 0.333
2 O 0.345 0.545 0.732
3 O 0.655 0.655 0.468
4 O 0.125 0.955 0.762
5 O 0.870 0.644 0.833
6 O 0.846 0.045 0.234
7 O 0.654 0.854 0.670
8 O 0.124 0.754 0.572
9 O 0.876 0.446 0.628
10 O 0.632 0.059 0.867
11 O 0.377 0.946 0.126
12 O 0.352 0.738 0.931
13 O 0.135 0.358 0.169
14 O 0.153 0.155 0.966
15 O 0.346 0.347 0.530
16 O 0.866 0.843 0.031
17 O 0.876 0.245 0.438
18 O 0.130 0.556 0.367
19 O 0.623 0.254 0.074
20 O 0.649 0.462 0.269
21 V 0.503 0.498 0.506
22 V 0.999 0.202 0.196
23 V 0.992 0.400 0.395
24 V 0.008 0.800 0.805
25 V 0.500 0.100 0.100
26 V 0.001 0.998 0.004
27 V 0.000 0.600 0.600
28 V 0.507 0.298 0.304
29 V 0.497 0.702 0.694
30 V 0.493 0.902 0.896
31 Na 0.252 0.152 0.650
32 Na 0.753 0.655 0.149
33 Na 0.247 0.348 0.852
34 Na 0.754 0.852 0.348
35 Na 0.748 0.048 0.550
36 Na 0.247 0.545 0.051

The following is a PBE with a Hubbard U calculation of a relaxed Li2FeP2O8 crystal, from Materials Project.

Computed properties:
Magnetic moment ... 8.0 μB per cell

Lattice parameters (Å, degrees): 5.128 5.128 13.976 82.69 82.69 54.91
Fractional coordinates of all 26 atoms:
1 P 0.332 0.350 0.886
2 P 0.670 0.651 0.117
3 P 0.350 0.332 0.386
4 P 0.651 0.670 0.617
5 Fe 0.022 0.991 0.509
6 Fe 0.991 0.022 0.009
7 O 0.334 0.037 0.416
8 O 0.558 0.228 0.969
9 O 0.533 0.125 0.804
10 O 0.228 0.558 0.469
11 O 0.037 0.334 0.916
12 O 0.440 0.783 0.034
13 O 0.783 0.440 0.534
14 O 0.793 0.496 0.713
15 O 0.210 0.706 0.862
16 O 0.706 0.210 0.362
17 O 0.939 0.707 0.088
18 O 0.496 0.793 0.213
19 O 0.125 0.533 0.304
20 O 0.707 0.939 0.588
21 O 0.843 0.278 0.126
22 O 0.278 0.843 0.626
23 Li 0.642 0.680 0.839
24 Li 0.027 0.961 0.244
25 Li 0.680 0.642 0.339
26 Li 0.961 0.027 0.744

The following is a PBE with a Hubbard U calculation of a relaxed CrFe3O6 crystal, from Materials Project.

Computed properties:
Magnetic moment ... 136.0 μB per cell

Lattice parameters (Å, degrees): 10.442 10.422 9.387 93.02 92.78 89.74
Fractional coordinates of all 80 atoms:
1 Cr 0.476 0.494 0.388
2 Cr 0.511 0.380 0.100
3 Cr 0.614 0.730 0.881
4 Cr 0.961 0.698 0.455
5 Cr 0.928 0.026 0.552
6 Cr 0.788 0.443 0.424
7 Cr 0.049 0.542 0.703
8 Cr 0.581 0.341 0.696
9 Fe 0.079 0.764 0.008
10 Fe 0.707 0.615 0.220
11 Fe 0.196 0.894 0.370
12 Fe 0.260 0.309 0.616
13 Fe 0.640 0.955 0.376
14 Fe 0.707 0.679 0.599
15 Fe 0.487 0.794 0.142
16 Fe 0.919 0.831 0.792
17 Fe 0.958 0.255 0.843
18 Fe 0.802 0.991 0.065
19 Fe 0.384 0.159 0.284
20 Fe 0.193 0.061 0.871
21 Fe 0.815 0.278 0.152
22 Fe 0.390 0.073 0.609
23 Fe 0.548 0.047 0.051
24 Fe 0.041 0.173 0.286
25 Fe 0.655 0.012 0.724
26 Fe 0.279 0.632 0.247
27 Fe 0.436 0.813 0.544
28 Fe 0.385 0.539 0.838
29 Fe 0.079 0.447 0.358
30 Fe 0.753 0.485 0.896
31 Fe 0.207 0.349 0.071
32 Fe 0.232 0.760 0.712
33 O 0.036 0.022 0.400
34 O 0.415 0.411 0.670
35 O 0.482 0.039 0.416
36 O 0.739 0.822 0.762
37 O 0.165 0.869 0.871
38 O 0.350 0.419 0.989
39 O 0.204 0.220 0.216
40 O 0.110 0.672 0.573
41 O 0.550 0.172 0.687
42 O 0.650 0.575 0.744
43 O 0.205 0.584 0.814
44 O 0.694 0.349 0.565
45 O 0.455 0.680 0.966
46 O 0.472 0.572 0.208
47 O 0.689 0.055 0.213
48 O 0.139 0.767 0.201
49 O 0.149 0.499 0.178
50 O 0.589 0.393 0.900
51 O 0.125 0.416 0.561
52 O 0.884 0.584 0.310
53 O 0.850 0.347 0.967
54 O 0.488 0.941 0.718
55 O 0.756 0.036 0.536
56 O 0.954 0.406 0.747
57 O 0.297 0.186 0.468
58 O 0.281 0.168 0.740
59 O 0.116 0.234 0.940
60 O 0.267 0.905 0.575
61 O 0.875 0.583 0.576
62 O 0.932 0.878 0.995
63 O 0.974 0.092 0.725
64 O 0.365 0.786 0.337
65 O 0.980 0.667 0.847
66 O 0.615 0.817 0.515
67 O 0.694 0.414 0.214
68 O 0.317 0.539 0.417
69 O 0.462 0.340 0.300
70 O 0.400 0.689 0.682
71 O 0.713 0.081 0.913
72 O 0.929 0.314 0.354
73 O 0.941 0.853 0.588
74 O 0.725 0.632 0.017
75 O 0.458 0.199 0.088
76 O 0.615 0.877 0.008
77 O 0.644 0.568 0.432
78 O 0.657 0.790 0.254
79 O 0.406 0.962 0.135
80 O 0.929 0.125 0.129

The following is a PBE with a Hubbard U calculation of a relaxed Li9Mn2Co5O16 crystal, from Materials Project.

Computed properties:
Magnetic moment ... 12.6 μB per cell

Lattice parameters (Å, degrees): 5.664 10.049 5.944 91.70 118.46 73.52
Fractional coordinates of all 32 atoms:
1 Co 0.500 0.500 0.000
2 Co 0.500 0.000 0.000
3 Co 0.000 0.500 0.500
4 Co 0.000 0.500 0.000
5 Co 0.500 0.000 0.500
6 Li 0.498 0.252 0.751
7 Li 0.500 0.500 0.500
8 Li 0.994 0.258 0.243
9 Li 0.506 0.742 0.753
10 Li 0.502 0.748 0.249
11 Li 0.000 0.744 0.247
12 Li 0.494 0.258 0.247
13 Li 0.000 0.256 0.753
14 Li 0.006 0.742 0.757
15 O 0.266 0.600 0.662
16 O 0.248 0.118 0.606
17 O 0.796 0.600 0.662
18 O 0.747 0.885 0.888
19 O 0.262 0.878 0.399
20 O 0.253 0.115 0.112
21 O 0.751 0.390 0.893
22 O 0.740 0.117 0.104
23 O 0.742 0.618 0.102
24 O 0.260 0.883 0.896
25 O 0.734 0.400 0.338
26 O 0.249 0.610 0.107
27 O 0.738 0.122 0.601
28 O 0.258 0.382 0.898
29 O 0.204 0.400 0.338
30 O 0.752 0.882 0.394
31 Mn 0.000 0.000 0.500
32 Mn 0.000 0.000 0.000

The following is a PBE with a Hubbard U calculation of a relaxed Tb2Mn2O7 crystal, from Materials Project.

Lattice parameters (Å, degrees): 7.120 7.120 7.120 60.00 60.00 60.00
Fractional coordinates of all 22 atoms:
1 Mn 0.625 0.625 0.125
2 Mn 0.625 0.625 0.625
3 Mn 0.125 0.625 0.625
4 Mn 0.625 0.125 0.625
5 O 0.546 0.954 0.954
6 O 0.546 0.954 0.546
7 O 0.704 0.704 0.296
8 O 0.954 0.546 0.954
9 O 0.296 0.296 0.704
10 O 0.296 0.704 0.704
11 O 0.954 0.546 0.546
12 O 0.000 0.000 0.000
13 O 0.954 0.954 0.546
14 O 0.704 0.296 0.296
15 O 0.296 0.704 0.296
16 O 0.546 0.546 0.954
17 O 0.250 0.250 0.250
18 O 0.704 0.296 0.704
19 Tb 0.125 0.125 0.625
20 Tb 0.125 0.125 0.125
21 Tb 0.625 0.125 0.125
22 Tb 0.125 0.625 0.125

The following is a PBE with a Hubbard U calculation of a relaxed Mn13Fe11O32 crystal, from Materials Project.

Computed properties:
Magnetic moment ... 110.8 μB per cell

Lattice parameters (Å, degrees): 6.061 6.061 20.074 81.73 81.73 59.61
Fractional coordinates of all 56 atoms:
1 O 0.469 0.922 0.191
2 O 0.289 0.834 0.569
3 O 0.806 0.806 0.072
4 O 0.560 0.560 0.820
5 O 0.972 0.409 0.686
6 O 0.194 0.194 0.928
7 O 0.825 0.825 0.564
8 O 0.711 0.166 0.431
9 O 0.917 0.917 0.189
10 O 0.166 0.711 0.431
11 O 0.779 0.326 0.062
12 O 0.440 0.440 0.180
13 O 0.028 0.591 0.314
14 O 0.834 0.289 0.569
15 O 0.299 0.299 0.572
16 O 0.951 0.951 0.678
17 O 0.414 0.414 0.689
18 O 0.701 0.701 0.428
19 O 0.531 0.078 0.809
20 O 0.326 0.779 0.062
21 O 0.083 0.083 0.811
22 O 0.670 0.670 0.939
23 O 0.586 0.586 0.311
24 O 0.175 0.175 0.436
25 O 0.674 0.221 0.938
26 O 0.221 0.674 0.938
27 O 0.409 0.972 0.686
28 O 0.078 0.531 0.809
29 O 0.922 0.469 0.191
30 O 0.591 0.028 0.314
31 O 0.330 0.330 0.061
32 O 0.049 0.049 0.322
33 Mn 0.752 0.752 0.250
34 Mn 0.875 0.875 0.374
35 Mn 0.248 0.248 0.750
36 Mn 0.590 0.590 0.719
37 Mn 0.657 0.657 0.530
38 Mn 0.500 0.500 0.000
39 Mn 0.093 0.093 0.220
40 Mn 0.343 0.343 0.470
41 Mn 0.841 0.841 0.971
42 Mn 0.125 0.125 0.626
43 Mn 0.907 0.907 0.780
44 Mn 0.410 0.410 0.281
45 Mn 0.159 0.159 0.029
46 Fe 0.624 0.124 0.125
47 Fe 0.377 0.377 0.874
48 Fe 0.000 0.000 0.500
49 Fe 0.371 0.875 0.377
50 Fe 0.623 0.623 0.126
51 Fe 0.124 0.624 0.125
52 Fe 0.376 0.876 0.875
53 Fe 0.125 0.629 0.623
54 Fe 0.629 0.125 0.623
55 Fe 0.876 0.376 0.875
56 Fe 0.875 0.371 0.377

no.,E_form (meV per atom)
1,-3008
2,-2653
3,-2186
4,-3139
5,-2402
6,-2372
7,-1487
8,-1794
9,-2883
10,-1787